Record 1
MoPbO3 | GGA+U | relaxed

abc: 4.108 4.108 4.108
angles: 90.00 90.00 90.00
Atoms (fractional coordinates):
Mo: 0.500 0.500 0.500
Pb: 0.000 0.000 0.000
O: 0.500 0.500 0.000
O: 0.500 0.000 0.500
O: 0.000 0.500 0.500

Its magnetization is 2.0 μB per formula unit. The calculation puts the formation energy from the elements at -1683 meV per atom. The value obtained for the calculated total energy is -32.56 eV/cell.

=====

Record 2
V2P2O7 | GGA+U | relaxed

abc: 5.448 5.448 9.167
angles: 83.14 96.86 75.19
Atoms (fractional coordinates):
V: 0.315 0.315 0.750
V: 0.685 0.685 0.250
V: 0.315 0.315 0.250
V: 0.685 0.685 0.750
P: 0.218 0.782 0.454
P: 0.218 0.782 0.954
P: 0.782 0.218 0.046
P: 0.782 0.218 0.546
O: 0.000 0.000 0.000
O: 0.000 0.000 0.500
O: 0.369 0.631 0.104
O: 0.369 0.631 0.604
O: 0.631 0.369 0.396
O: 0.631 0.369 0.896
O: 0.378 0.920 0.364
O: 0.378 0.920 0.864
O: 0.080 0.622 0.364
O: 0.080 0.622 0.864
O: 0.622 0.080 0.136
O: 0.622 0.080 0.636
O: 0.920 0.378 0.136
O: 0.920 0.378 0.636

Its magnetization is 0.0 μB per formula unit. The calculation puts the formation energy from the elements at -2586 meV per atom. The relative energy among the computed polymorphs is 5 meV/atom. The value obtained for the calculated total energy is -167.73 eV/cell.

=====

Record 3
Li2Mn3VO8 | GGA+U | relaxed

abc: 5.945 5.945 5.945
angles: 60.07 60.07 60.07
Atoms (fractional coordinates):
Li: 0.879 0.879 0.879
Li: 0.121 0.121 0.121
Mn: 0.000 0.500 0.500
Mn: 0.500 0.000 0.500
Mn: 0.500 0.500 0.000
V: 0.500 0.500 0.500
O: 0.739 0.739 0.739
O: 0.742 0.742 0.292
O: 0.742 0.292 0.742
O: 0.292 0.742 0.742
O: 0.708 0.258 0.258
O: 0.258 0.708 0.258
O: 0.258 0.258 0.708
O: 0.261 0.261 0.261

Its magnetization is 12.0 μB per formula unit. The calculation puts the formation energy from the elements at -2156 meV per atom. The relative energy among the computed polymorphs is 34 meV/atom. The value obtained for the calculated total energy is -97.95 eV/cell.

=====

Record 4
LiNi2P2O9 | GGA+U | relaxed

abc: 6.258 7.437 13.853
angles: 90.00 90.00 90.00
Atoms (fractional coordinates):
Li: 0.750 0.939 0.778
Li: 0.750 0.561 0.278
Li: 0.250 0.439 0.722
Li: 0.250 0.061 0.222
Ni: 0.750 0.348 0.880
Ni: 0.250 0.652 0.120
Ni: 0.250 0.848 0.620
Ni: 0.750 0.152 0.380
Ni: 0.500 0.000 0.000
Ni: 0.500 0.500 0.500
Ni: 0.000 0.500 0.500
Ni: 0.000 0.000 0.000
P: 0.250 0.363 0.935
P: 0.750 0.637 0.065
P: 0.750 0.863 0.565
P: 0.250 0.137 0.435
P: 0.750 0.399 0.696
P: 0.750 0.101 0.196
P: 0.250 0.899 0.804
P: 0.250 0.601 0.304
O: 0.043 0.581 0.362
O: 0.543 0.419 0.638
O: 0.957 0.081 0.138
O: 0.457 0.919 0.862
O: 0.957 0.419 0.638
O: 0.457 0.581 0.362
O: 0.043 0.919 0.862
O: 0.543 0.081 0.138
O: 0.250 0.314 0.494
O: 0.750 0.686 0.506
O: 0.750 0.814 0.006
O: 0.250 0.186 0.994
O: 0.750 0.136 0.956
O: 0.250 0.864 0.044
O: 0.250 0.636 0.544
O: 0.750 0.364 0.456
O: 0.750 0.219 0.755
O: 0.250 0.781 0.245
O: 0.250 0.719 0.745
O: 0.750 0.281 0.255
O: 0.438 0.136 0.362
O: 0.938 0.864 0.638
O: 0.562 0.636 0.138
O: 0.062 0.364 0.862
O: 0.562 0.864 0.638
O: 0.062 0.136 0.362
O: 0.438 0.364 0.862
O: 0.938 0.636 0.138
O: 0.750 0.469 0.002
O: 0.250 0.038 0.717
O: 0.250 0.462 0.217
O: 0.750 0.538 0.783
O: 0.750 0.031 0.502
O: 0.250 0.969 0.498
O: 0.250 0.531 0.998
O: 0.750 0.962 0.283

Its magnetization is 1.9 μB per formula unit. The calculation puts the formation energy from the elements at -1916 meV per atom. The value obtained for the calculated total energy is -337.56 eV/cell.

=====

Record 5
NdMnFeBiO6 | GGA+U | relaxed

abc: 5.646 5.475 7.914
angles: 89.24 90.00 90.00
Atoms (fractional coordinates):
Nd: 0.449 0.236 0.501
Nd: 0.949 0.764 0.499
Mn: 0.499 0.750 0.748
Mn: 0.999 0.250 0.252
Fe: 0.499 0.754 0.249
Fe: 0.999 0.246 0.751
Bi: 0.554 0.266 0.001
Bi: 0.054 0.734 0.999
O: 0.466 0.847 0.985
O: 0.966 0.153 0.015
O: 0.530 0.657 0.513
O: 0.030 0.343 0.487
O: 0.297 0.462 0.795
O: 0.797 0.538 0.205
O: 0.722 0.054 0.308
O: 0.222 0.946 0.692
O: 0.706 0.030 0.699
O: 0.206 0.970 0.301
O: 0.276 0.450 0.196
O: 0.776 0.550 0.804

Its magnetization is 7.0 μB per formula unit. The calculation puts the formation energy from the elements at -2258 meV per atom. The relative energy among the computed polymorphs is 0 meV/atom. The value obtained for the calculated total energy is -141.03 eV/cell.

=====

Record 6
Li3Fe4B4O12 | GGA+U | relaxed

abc: 5.251 9.060 10.196
angles: 90.14 91.56 90.39
Atoms (fractional coordinates):
Li: 0.666 0.007 0.158
Li: 0.338 0.007 0.910
Li: 0.839 0.503 0.905
Li: 0.156 0.489 0.663
Li: 0.158 0.512 0.166
Li: 0.352 0.989 0.419
Fe: 0.827 0.159 0.874
Fe: 0.158 0.153 0.635
Fe: 0.669 0.339 0.130
Fe: 0.342 0.334 0.383
Fe: 0.661 0.673 0.631
Fe: 0.845 0.830 0.381
Fe: 0.342 0.664 0.885
Fe: 0.162 0.842 0.128
B: 0.831 0.166 0.376
B: 0.665 0.341 0.627
B: 0.165 0.171 0.131
B: 0.337 0.331 0.876
B: 0.666 0.669 0.125
B: 0.342 0.669 0.379
B: 0.836 0.835 0.877
B: 0.175 0.826 0.626
O: 0.705 0.034 0.363
O: 0.907 0.165 0.099
O: 0.312 0.046 0.117
O: 0.792 0.215 0.663
O: 0.700 0.298 0.349
O: 0.219 0.196 0.847
O: 0.094 0.172 0.410
O: 0.592 0.336 0.917
O: 0.787 0.476 0.640
O: 0.404 0.336 0.583
O: 0.280 0.305 0.175
O: 0.813 0.543 0.108
O: 0.197 0.460 0.863
O: 0.725 0.699 0.835
O: 0.582 0.678 0.437
O: 0.226 0.532 0.357
O: 0.405 0.663 0.095
O: 0.919 0.817 0.592
O: 0.780 0.800 0.166
O: 0.297 0.694 0.668
O: 0.221 0.797 0.340
O: 0.687 0.957 0.888
O: 0.095 0.838 0.913
O: 0.306 0.955 0.612

Its magnetization is 17.0 μB per formula unit. The calculation puts the formation energy from the elements at -2302 meV per atom. The relative energy among the computed polymorphs is 3 meV/atom. The value obtained for the calculated total energy is -322.76 eV/cell.

=====

Record 7
SrV4Bi6O20 | GGA+U | relaxed

abc: 7.242 8.103 9.443
angles: 106.42 93.88 112.54
Atoms (fractional coordinates):
Sr: 0.000 0.500 0.000
V: 0.052 0.776 0.757
V: 0.655 0.105 0.740
V: 0.948 0.224 0.243
V: 0.345 0.895 0.260
Bi: 0.656 0.374 0.481
Bi: 0.428 0.298 0.079
Bi: 0.344 0.626 0.519
Bi: 0.200 0.212 0.673
Bi: 0.800 0.788 0.327
Bi: 0.572 0.702 0.921
O: 0.835 0.975 0.166
O: 0.530 0.871 0.371
O: 0.765 0.316 0.244
O: 0.377 0.132 0.311
O: 0.943 0.705 0.569
O: 0.057 0.295 0.431
O: 0.354 0.802 0.073
O: 0.646 0.198 0.927
O: 0.896 0.255 0.727
O: 0.550 0.531 0.366
O: 0.104 0.745 0.273
O: 0.450 0.469 0.634
O: 0.235 0.684 0.756
O: 0.669 0.588 0.101
O: 0.470 0.129 0.629
O: 0.331 0.412 0.899
O: 0.870 0.667 0.854
O: 0.623 0.868 0.689
O: 0.165 0.025 0.834
O: 0.130 0.333 0.146

The calculation puts the formation energy from the elements at -2185 meV per atom. The value obtained for the calculated total energy is -207.53 eV/cell.

=====

Record 8
MgFe4Co2O12 | GGA+U | relaxed

abc: 5.140 5.143 8.555
angles: 88.32 88.31 75.57
Atoms (fractional coordinates):
Mg: 0.195 0.199 0.174
Fe: 0.906 0.906 0.356
Fe: 0.085 0.085 0.660
Fe: 0.530 0.531 0.168
Fe: 0.490 0.491 0.824
Co: 0.920 0.920 0.990
Co: 0.497 0.497 0.501
O: 0.180 0.818 0.166
O: 0.193 0.818 0.834
O: 0.198 0.806 0.500
O: 0.366 0.368 0.014
O: 0.361 0.363 0.330
O: 0.323 0.324 0.658
O: 0.674 0.673 0.338
O: 0.641 0.641 0.655
O: 0.698 0.697 0.003
O: 0.805 0.198 0.500
O: 0.815 0.179 0.166
O: 0.818 0.194 0.834

Its magnetization is 22.0 μB per formula unit. The calculation puts the formation energy from the elements at -1339 meV per atom. The relative energy among the computed polymorphs is 11 meV/atom. The value obtained for the calculated total energy is -113.97 eV/cell.